Record 1
VASP calculation (PBE+U) on a relaxed MgFe8O14F2 crystal.

Calculated values
**SG**: P1, No. 1
**Volume**: 268.4 Å³/cell
**Energy with MP2020 corrections**: -7.2882 eV per atom
**Energy of formation**: -1.590 eV per atom

Cell lengths 7.439, 7.026, 5.646 Å; angles 104.99, 108.26, 78.53 degrees
Element x y z (fractional)
1 Fe 0.013 0.493 0.015
2 O 0.014 0.778 0.562
3 Fe 0.873 0.055 0.102
4 O 0.070 0.808 0.117
5 Fe 0.513 0.989 0.964
6 O 0.496 0.677 0.333
7 O 0.944 0.198 0.886
8 O 0.620 0.253 0.143
9 O 0.716 0.916 0.790
10 O 0.711 0.972 0.301
11 O 0.402 0.738 0.838
12 O 0.236 0.433 0.867
13 Fe 0.748 0.235 0.546
14 Fe 0.507 0.501 0.998
15 F 0.822 0.516 0.669
16 F 0.321 0.083 0.186
17 O 0.778 0.568 0.142
18 O 0.992 0.206 0.412
19 O 0.198 0.473 0.334
20 Fe 0.253 0.272 0.533
21 Fe 0.259 0.745 0.445
22 O 0.524 0.323 0.665
23 Fe 0.761 0.743 0.465
24 Mg 0.150 0.936 0.882
25 O 0.302 0.025 0.661

***

Record 2
VASP calculation (PBE+U) on a relaxed NaVN2F6 crystal.

Calculated values
**SG**: Fm-3m, No. 225
**Volume**: 151.8 Å³/cell
**Energy with MP2020 corrections**: -5.1613 eV per atom
**Energy of formation**: -1.305 eV per atom

Cell lengths 5.988, 5.988, 5.988 Å; angles 60.00, 60.00, 60.00 degrees
Element x y z (fractional)
1 F 0.285 0.285 0.715
2 N 0.750 0.750 0.750
3 F 0.715 0.285 0.285
4 F 0.715 0.285 0.715
5 Na 0.000 0.000 0.000
6 F 0.715 0.715 0.285
7 N 0.250 0.250 0.250
8 V 0.500 0.500 0.500
9 F 0.285 0.715 0.285
10 F 0.285 0.715 0.715

***

Record 3
VASP calculation (PBE+U) on a relaxed DyVO2 crystal.

Calculated values
**SG**: I4_1/amd, No. 141
**Volume**: 223.1 Å³/cell
**Energy with MP2020 corrections**: -8.4328 eV per atom
**Energy of formation**: -2.536 eV per atom

Cell lengths 7.283, 7.283, 7.283 Å; angles 129.69, 129.69, 73.90 degrees
Element x y z (fractional)
1 O 0.059 0.825 0.234
2 O 0.175 0.941 0.766
3 O 0.159 0.425 0.734
4 V 0.875 0.625 0.750
5 O 0.575 0.309 0.734
6 O 0.691 0.425 0.266
7 Dy 0.375 0.625 0.250
8 V 0.875 0.125 0.250
9 Dy 0.375 0.125 0.750
10 O 0.575 0.841 0.266
11 V 0.375 0.125 0.250
12 Dy 0.875 0.625 0.250
13 O 0.591 0.825 0.766
14 V 0.875 0.125 0.750
15 O 0.175 0.409 0.234
16 Dy 0.375 0.625 0.750

***

Record 4
VASP calculation (PBE+U) on a relaxed Li9Mn2Co5O16 crystal.

Calculated values
**SG**: P1, No. 1
**Volume**: 283.4 Å³/cell
**Energy with MP2020 corrections**: -6.3412 eV per atom
**Energy of formation**: -1.647 eV per atom

Cell lengths 5.813, 5.829, 9.782 Å; angles 81.38, 81.19, 60.29 degrees
Element x y z (fractional)
1 Li 0.134 0.616 0.244
2 Li 0.380 0.374 0.754
3 Li 0.500 0.499 0.000
4 Li 0.620 0.626 0.245
5 O 0.835 0.304 0.108
6 Mn 0.001 0.000 0.000
7 Li 0.874 0.875 0.754
8 Co 0.001 0.500 0.999
9 Li 0.388 0.857 0.761
10 O 0.566 0.079 0.615
11 O 0.422 0.939 0.385
12 O 0.043 0.075 0.617
13 O 0.078 0.558 0.617
14 O 0.677 0.712 0.890
15 O 0.452 0.429 0.381
16 O 0.194 0.167 0.888
17 Mn 0.749 0.252 0.499
18 O 0.933 0.424 0.384
19 O 0.323 0.288 0.109
20 Li 0.618 0.137 0.243
21 Li 0.125 0.126 0.246
22 Co 0.500 0.000 0.000
23 Co 0.248 0.751 0.501
24 Co 0.750 0.751 0.499
25 O 0.693 0.164 0.893
26 O 0.566 0.547 0.618
27 Li 0.865 0.384 0.753
28 Co 0.250 0.249 0.501
29 O 0.808 0.831 0.112
30 O 0.307 0.835 0.108
31 O 0.933 0.955 0.385
32 O 0.167 0.696 0.890

***

Record 5
VASP calculation (PBE+U) on a relaxed Li2CrNiO4 crystal.

Calculated values
**SG**: C222, No. 21
**Volume**: 140.9 Å³/cell
**Energy with MP2020 corrections**: -6.7975 eV per atom
**Energy of formation**: -1.917 eV per atom

Cell lengths 5.127, 5.763, 5.127 Å; angles 90.00, 68.44, 90.00 degrees
Element x y z (fractional)
1 Cr 0.500 0.757 0.000
2 Li 0.000 0.750 0.500
3 O 0.276 0.500 0.276
4 O 0.724 0.500 0.724
5 Li 0.000 0.500 0.000
6 Ni 0.000 0.000 0.000
7 Li 0.500 0.000 0.500
8 O 0.243 0.000 0.243
9 O 0.228 0.255 0.733
10 O 0.267 0.745 0.772
11 Cr 0.000 0.243 0.500
12 O 0.733 0.745 0.228
13 Ni 0.500 0.500 0.500
14 O 0.772 0.255 0.267
15 O 0.757 0.000 0.757
16 Li 0.500 0.250 0.000

***

Record 6
VASP calculation (PBE+U) on a relaxed MgV4O8 crystal.

Calculated values
**SG**: P1, No. 1
**Volume**: 184.3 Å³/cell
**Energy with MP2020 corrections**: -8.1572 eV per atom
**Energy of formation**: -2.194 eV per atom

Cell lengths 5.633, 5.648, 6.627 Å; angles 89.71, 89.84, 60.91 degrees
Element x y z (fractional)
1 V 0.608 0.608 0.751
2 V 0.424 0.424 0.251
3 V 0.928 0.929 0.969
4 O 0.315 0.310 0.053
5 O 0.716 0.714 0.959
6 O 0.240 0.764 0.750
7 O 0.765 0.240 0.750
8 O 0.307 0.309 0.445
9 V 0.930 0.933 0.529
10 O 0.786 0.221 0.253
11 Mg 0.159 0.155 0.246
12 O 0.218 0.785 0.250
13 O 0.717 0.719 0.544